Record 1
! GGA-PBE FeCuTe2, optimized geometry; values from VASP
! SG: P-4m2 (115)
! Magnetization: 2.9 μB/cell
! E_form: -0.22 eV/atom
&SYSTEM
  ibrav = 0, nat = 4, ntyp = 3
/
ATOMIC_SPECIES
Te 127.60 Te.upf
Fe 55.84 Fe.upf
Cu 63.55 Cu.upf
ATOMIC_POSITIONS crystal
Te 0.5000 0.0000 0.7263
Te 0.0000 0.5000 0.2737
Fe 0.0000 0.0000 0.0000
Cu 0.5000 0.5000 0.0000
CELL_PARAMETERS angstrom
3.8706 0.0000 0.0000
0.0000 3.8706 0.0000
0.0000 0.0000 6.3055

Record 2
! GGA-PBE LiPm2Pb, optimized geometry; values from VASP
! SG: Fm-3m (225)
! E_form: -0.32 eV/atom
&SYSTEM
  ibrav = 0, nat = 4, ntyp = 3
/
ATOMIC_SPECIES
Pm 145.00 Pm.upf
Pb 207.20 Pb.upf
Li 6.94 Li.upf
ATOMIC_POSITIONS crystal
Pm 0.7500 0.7500 0.7500
Pm 0.2500 0.2500 0.2500
Pb 0.0000 0.0000 0.0000
Li 0.5000 0.5000 0.5000
CELL_PARAMETERS angstrom
1.4512 -5.2054 0.2270
-3.7759 -3.8412 0.4914
-1.0688 -3.2893 -4.1583

Record 3
! GGA-PBE ErNiGe, optimized geometry; values from VASP
! SG: C2/m (12)
! Magnetization: 0.0 μB/cell
! E_form: -0.73 eV/atom
&SYSTEM
  ibrav = 0, nat = 6, ntyp = 3
/
ATOMIC_SPECIES
Er 167.26 Er.upf
Ge 72.64 Ge.upf
Ni 58.69 Ni.upf
ATOMIC_POSITIONS crystal
Er 0.4520 0.4520 0.8074
Er 0.5480 0.5480 0.1926
Ge 0.8292 0.8292 0.6078
Ge 0.1708 0.1708 0.3922
Ni 0.1685 0.1685 0.7802
Ni 0.8315 0.8315 0.2198
CELL_PARAMETERS angstrom
2.0642 5.0817 0.0000
-2.0642 5.0817 0.0000
0.0000 4.5498 5.0902

Record 4
! GGA-PBE EuCl2, optimized geometry; values from VASP
! SG: Pnma (62)
! E_form: -2.78 eV/atom
&SYSTEM
  ibrav = 0, nat = 12, ntyp = 2
/
ATOMIC_SPECIES
Cl 35.45 Cl.upf
Eu 151.96 Eu.upf
ATOMIC_POSITIONS crystal
Cl 0.7500 0.3588 0.0760
Cl 0.7500 0.8588 0.4240
Cl 0.2500 0.6412 0.9240
Cl 0.7500 0.4819 0.6616
Cl 0.7500 0.9819 0.8384
Cl 0.2500 0.1412 0.5760
Cl 0.2500 0.0181 0.1616
Cl 0.2500 0.5181 0.3384
Eu 0.7500 0.2549 0.3904
Eu 0.2500 0.7451 0.6096
Eu 0.7500 0.7549 0.1096
Eu 0.2500 0.2451 0.8904
CELL_PARAMETERS angstrom
4.5582 0.0000 0.0000
0.0000 7.5458 0.0000
0.0000 0.0000 9.0412

Q: The highest E_form belongs to which entry?
A: FeCuTe2

Q: Which of these has the lowest E_form?
A: EuCl2